Record 1
Rb2Si5NiO12 GGA+U relaxed; magnetic moment = 16.000 μB/cell; E_form = -2.897 eV/atom; SG = Pbca (61)
1.0
9.053 -1.250 10.471
-0.416 -13.569 -1.260
10.469 0.514 -8.990
Rb Si Ni O
16 40 8 96
Direct
0.369 0.628 0.136 Rb
0.631 0.128 0.364 Rb
0.131 0.372 0.636 Rb
0.869 0.872 0.864 Rb
0.631 0.372 0.864 Rb
0.369 0.872 0.636 Rb
0.869 0.628 0.364 Rb
0.131 0.128 0.136 Rb
0.106 0.875 0.373 Rb
0.894 0.375 0.127 Rb
0.394 0.125 0.873 Rb
0.606 0.625 0.627 Rb
0.894 0.125 0.627 Rb
0.106 0.625 0.873 Rb
0.606 0.875 0.127 Rb
0.394 0.375 0.373 Rb
0.902 0.635 0.665 Si
0.098 0.135 0.835 Si
0.598 0.365 0.165 Si
0.402 0.865 0.335 Si
0.098 0.365 0.335 Si
0.902 0.865 0.165 Si
0.402 0.635 0.835 Si
0.598 0.135 0.665 Si
0.859 0.087 0.119 Si
0.141 0.587 0.381 Si
0.641 0.913 0.619 Si
0.359 0.413 0.881 Si
0.141 0.913 0.881 Si
0.859 0.413 0.619 Si
0.359 0.087 0.381 Si
0.641 0.587 0.119 Si
0.396 0.168 0.584 Si
0.604 0.668 0.916 Si
0.104 0.832 0.084 Si
0.896 0.332 0.416 Si
0.604 0.832 0.416 Si
0.396 0.332 0.084 Si
0.896 0.168 0.916 Si
0.104 0.668 0.584 Si
0.684 0.403 0.368 Si
0.316 0.903 0.132 Si
0.816 0.597 0.868 Si
0.184 0.097 0.632 Si
0.316 0.597 0.632 Si
0.684 0.097 0.868 Si
0.184 0.403 0.132 Si
0.816 0.903 0.368 Si
0.140 0.340 0.921 Si
0.860 0.840 0.579 Si
0.360 0.660 0.421 Si
0.640 0.160 0.079 Si
0.860 0.660 0.079 Si
0.140 0.160 0.421 Si
0.640 0.340 0.579 Si
0.360 0.840 0.921 Si
0.577 0.884 0.841 Ni
0.423 0.384 0.659 Ni
0.923 0.116 0.341 Ni
0.077 0.616 0.159 Ni
0.423 0.116 0.159 Ni
0.577 0.616 0.341 Ni
0.077 0.884 0.659 Ni
0.923 0.384 0.841 Ni
0.353 0.967 0.369 O
0.647 0.467 0.131 O
0.147 0.033 0.869 O
0.853 0.533 0.631 O
0.647 0.033 0.631 O
0.353 0.533 0.869 O
0.853 0.967 0.131 O
0.147 0.467 0.369 O
0.086 0.602 0.487 O
0.914 0.102 0.013 O
0.414 0.398 0.987 O
0.586 0.898 0.513 O
0.914 0.398 0.513 O
0.086 0.898 0.987 O
0.586 0.602 0.013 O
0.414 0.102 0.487 O
0.019 0.868 0.162 O
0.981 0.368 0.338 O
0.481 0.132 0.662 O
0.519 0.632 0.838 O
0.981 0.132 0.838 O
0.019 0.632 0.662 O
0.519 0.868 0.338 O
0.481 0.368 0.162 O
0.895 0.217 0.439 O
0.105 0.717 0.061 O
0.605 0.783 0.939 O
0.395 0.283 0.561 O
0.105 0.783 0.561 O
0.895 0.283 0.939 O
0.395 0.217 0.061 O
0.605 0.717 0.439 O
0.128 0.155 0.722 O
0.872 0.655 0.778 O
0.372 0.845 0.222 O
0.628 0.345 0.278 O
0.872 0.845 0.278 O
0.128 0.345 0.222 O
0.628 0.155 0.778 O
0.372 0.655 0.722 O
0.752 0.879 0.606 O
0.248 0.379 0.894 O
0.748 0.121 0.106 O
0.252 0.621 0.394 O
0.248 0.121 0.394 O
0.752 0.621 0.106 O
0.252 0.879 0.894 O
0.748 0.379 0.606 O
0.821 0.480 0.866 O
0.179 0.980 0.634 O
0.679 0.520 0.366 O
0.321 0.020 0.134 O
0.179 0.520 0.134 O
0.821 0.020 0.366 O
0.321 0.480 0.634 O
0.679 0.980 0.866 O
0.627 0.149 0.960 O
0.373 0.649 0.540 O
0.873 0.851 0.460 O
0.127 0.351 0.040 O
0.373 0.851 0.040 O
0.627 0.351 0.460 O
0.127 0.149 0.540 O
0.873 0.649 0.960 O
0.563 0.398 0.642 O
0.437 0.898 0.858 O
0.937 0.602 0.142 O
0.063 0.102 0.358 O
0.437 0.602 0.358 O
0.563 0.102 0.142 O
0.063 0.398 0.858 O
0.937 0.898 0.642 O
0.359 0.719 0.906 O
0.641 0.219 0.594 O
0.141 0.281 0.406 O
0.859 0.781 0.094 O
0.641 0.281 0.094 O
0.359 0.781 0.406 O
0.859 0.719 0.594 O
0.141 0.219 0.906 O
0.584 0.645 0.202 O
0.416 0.145 0.298 O
0.916 0.355 0.702 O
0.084 0.855 0.798 O
0.416 0.355 0.798 O
0.584 0.855 0.702 O
0.084 0.645 0.298 O
0.916 0.145 0.202 O
0.297 0.368 0.139 O
0.703 0.868 0.361 O
0.203 0.632 0.639 O
0.797 0.132 0.861 O
0.703 0.632 0.861 O
0.297 0.132 0.639 O
0.797 0.368 0.361 O
0.203 0.868 0.139 O


Record 2
Re2NiO6 GGA+U relaxed; magnetic moment = 8.703 μB/cell; E_form = -1.811 eV/atom; SG = P-1 (2)
1.0
-9.871 5.039 -9.296
-9.868 -1.033 -5.332
-3.811 0.411 4.022
Re Ni O
8 4 24
Direct
0.184 0.225 0.775 Re
0.149 0.775 0.225 Re
0.510 0.231 0.777 Re
0.660 0.262 0.263 Re
0.473 0.787 0.219 Re
0.860 0.213 0.781 Re
0.673 0.738 0.737 Re
0.823 0.769 0.223 Re
0.325 0.268 0.259 Ni
0.008 0.732 0.742 Ni
0.336 0.741 0.731 Ni
0.997 0.259 0.269 Ni
0.030 0.098 0.621 O
0.321 0.121 0.114 O
0.000 0.591 0.590 O
0.379 0.077 0.635 O
0.018 0.619 0.099 O
0.316 0.381 0.901 O
0.334 0.409 0.410 O
0.012 0.879 0.886 O
0.660 0.117 0.118 O
0.332 0.591 0.595 O
0.362 0.607 0.107 O
0.690 0.113 0.605 O
0.303 0.902 0.379 O
0.662 0.364 0.921 O
0.666 0.405 0.407 O
0.337 0.888 0.883 O
0.996 0.112 0.117 O
0.667 0.596 0.593 O
0.672 0.636 0.079 O
0.971 0.393 0.892 O
0.644 0.887 0.395 O
0.002 0.409 0.405 O
0.673 0.883 0.881 O
0.955 0.923 0.365 O


Q: The highest E_form belongs to which entry?
A: Re2NiO6


Q: Which of these has the lowest magnetic moment?
A: Re2NiO6


Q: Look up the magnetic moment of the first one.
A: 16.000 μB/cell


Q: E_form of number 2 (Re2NiO6)?
A: -1.811 eV/atom